1.
SiBi2O5: relaxed, r²SCAN.

Properties
Electronic total energy: -21.4717 eV/atom
Calculated formation energy: -2017 meV per atom

Cell lengths 15.1824, 5.4812, 5.3265 Å; angles 90.00, 90.00, 90.00 degrees
With the nearest neighbours (Å) after each atom.
Space group Cmc2_1 (No. 36)
Inequivalent atoms, fractional coordinates:
Si 0.0000 0.1783 0.0000 x4  4 O 1.61-1.67
Bi 0.1653 0.2800 0.4437 x8  3 O 2.18-2.31
O 0.0000 0.0250 0.7325 x4  2 Si 1.65-1.67
O 0.0913 0.3261 0.0218 x8  1 Si 1.61
O 0.2498 0.0107 0.2142 x8  3 Bi 2.18-2.31

***

2.
Sr: relaxed, r²SCAN.

Properties
Electronic total energy: -15.1427 eV/atom
Calculated formation energy: 3 meV per atom
Energy above the most stable polymorph in this dataset: 0.003 eV/atom

Cell lengths 7.4875, 4.3273, 10.8773 Å; angles 90.00, 103.42, 90.00 degrees
With the nearest neighbours (Å) after each atom.
Space group C2/m (No. 12)
Inequivalent atoms, fractional coordinates:
Sr 0.0000 0.0000 0.0000 x2  12 Sr 4.32-4.33
Sr 0.2223 0.0000 0.6667 x4  12 Sr 4.32-4.33

***

3.
Ti4H3: relaxed, r²SCAN.

Properties
Electronic total energy: -9.1837 eV/atom
Calculated formation energy: -310 meV per atom

Cell lengths 4.2211, 4.2211, 4.3689 Å; angles 90.00, 90.00, 90.00 degrees
With the nearest neighbours (Å) after each atom.
Space group P-42m (No. 111)
Inequivalent atoms, fractional coordinates:
Ti 0.2445 0.2445 0.2597 x4  3 H 1.85-1.90
H 0.0000 0.0000 0.0000 x1  4 Ti 1.85
H 0.5000 0.5000 0.0000 x1  4 Ti 1.90
H 0.5000 0.5000 0.5000 x1  4 Ti 1.85

***

4.
SrSnAu: relaxed, r²SCAN.

Properties
Electronic total energy: -30.9688 eV/atom
Calculated formation energy: -810 meV per atom

Cell lengths 23.6842, 4.8510, 8.3159 Å; angles 90.00, 90.00, 90.00 degrees
With the nearest neighbours (Å) after each atom.
Space group Pnma (No. 62)
Inequivalent atoms, fractional coordinates:
Sr 0.0024 0.2500 0.2124 x4  6 Au 3.28-3.50, 6 Sn 3.35-3.55
Sr 0.1660 0.2500 0.2927 x4  6 Sn 3.35-3.43, 6 Au 3.44-3.61
Sr 0.1665 0.7500 0.7062 x4  6 Au 3.29-3.45, 6 Sn 3.48-3.59
Sn 0.0657 0.2500 0.5879 x4  3 Au 2.79-2.82
Sn 0.1021 0.7500 0.0833 x4  3 Au 2.81-2.89, 1 Sn 3.05
Sn 0.2308 0.7500 0.0822 x4  3 Au 2.81-2.84, 1 Sn 3.05
Au 0.0667 0.7500 0.4154 x4  4 Sn 2.82-3.14
Au 0.0932 0.2500 0.9138 x4  3 Sn 2.79-2.81
Au 0.2400 0.2500 0.9135 x4  3 Sn 2.81-2.84

***

5.
P: relaxed, r²SCAN.

Properties
Electronic total energy: -8.9999 eV/atom
Calculated formation energy: 2 meV per atom
Energy above the most stable polymorph in this dataset: 0.002 eV/atom

Cell lengths 7.4079, 11.9046, 12.6297 Å; angles 104.30, 106.16, 99.07 degrees
With the nearest neighbours (Å) after each atom.
Space group P-1 (No. 2)
Inequivalent atoms, fractional coordinates:
P 0.0020 0.4269 0.3306 x2  3 P 2.18-2.24
P 0.0226 0.9531 0.4180 x2  3 P 2.22-2.24
P 0.0281 0.1059 0.3470 x2  3 P 2.19-2.22
P 0.0318 0.4777 0.7985 x2  3 P 2.19-2.30
P 0.0486 0.9836 0.8396 x2  3 P 2.19-2.20
P 0.0842 0.4171 0.0673 x2  3 P 2.20-2.30
P 0.1160 0.8350 0.9032 x2  3 P 2.18-2.28
P 0.1733 0.2747 0.1360 x2  3 P 2.18-2.23
P 0.2275 0.6547 0.3272 x2  3 P 2.18-2.23
P 0.2334 0.8305 0.6503 x2  3 P 2.18-2.21
P 0.2358 0.7296 0.7734 x2  3 P 2.18-2.28
P 0.2594 0.1813 0.6551 x2  3 P 2.19-2.22
P 0.2655 0.7729 0.2234 x2  3 P 2.18-2.27
P 0.2758 0.3726 0.3248 x2  3 P 2.23-2.28
P 0.3018 0.2365 0.8414 x2  3 P 2.19-2.21
P 0.3555 0.0806 0.8989 x2  3 P 2.20-2.26
P 0.3895 0.6726 0.0939 x2  3 P 2.19-2.27
P 0.3959 0.5028 0.1308 x2  3 P 2.19-2.23
P 0.4479 0.5474 0.3207 x2  3 P 2.23-2.28
P 0.4794 0.9782 0.7716 x2  3 P 2.21-2.26
P 0.4881 0.0851 0.6522 x2  3 P 2.19-2.21

***

6.
Pr2InPd2: relaxed, r²SCAN.

Properties
Electronic total energy: -26.3103 eV/atom
Calculated formation energy: -849 meV per atom

Cell lengths 7.8670, 7.8670, 3.9137 Å; angles 90.00, 90.00, 90.00 degrees
With the nearest neighbours (Å) after each atom.
Space group P4/mbm (No. 127)
Inequivalent atoms, fractional coordinates:
Pr 0.1758 0.3242 0.0000 x4  6 Pd 2.94-3.11
In 0.0000 0.0000 0.5000 x2  4 Pd 3.10
Pd 0.1270 0.6270 0.5000 x4  1 Pd 2.83, 6 Pr 2.94-3.11, 2 In 3.10